# LiMnPO4 GGA+U relaxed
data_LiMnPO4
_cell_length_a 8.818
_cell_length_b 5.246
_cell_length_c 8.499
_cell_angle_alpha 90.00
_cell_angle_beta 108.88
_cell_angle_gamma 90.00
_space_group_name_H-M_alt 'P 1 c 1'
_space_group_IT_number 7
loop_
_space_group_symop_operation_xyz
'x,y,z'
'x,-y,z+1/2'
loop_
_atom_site_label
_atom_site_type_symbol
_atom_site_fract_x
_atom_site_fract_y
_atom_site_fract_z
Li1 Li 0.000 0.173 0.000
Li2 Li 0.519 0.316 0.653
Mn1 Mn 0.272 0.323 0.892
Mn2 Mn 0.750 0.181 0.227
P1 P 0.388 0.181 0.264
P2 P 0.883 0.315 0.622
O1 O 0.030 0.266 0.778
O2 O 0.231 0.220 0.115
O3 O 0.371 0.313 0.421
O4 O 0.425 0.107 0.800
O5 O 0.525 0.310 0.212
O6 O 0.733 0.205 0.660
O7 O 0.857 0.394 0.085
O8 O 0.905 0.175 0.470
# crystal system: monoclinic
# total magnetic moment: 20.0 Bohr magnetons per cell
# total energy: -200.85 eV per cell